[1]
{
  "formula": "Te3P2O11",
  "functional": "PBE",
  "state": "relaxed",
  "space_group": "P2_1/c, No. 14",
  "volume_a3_per_cell": 954,
  "corrected_energy_ry_per_atom": -0.4907,
  "ef_mev_per_atom": -2009,
  "cell": [[-5.896, -1.814, 4.263], [-2.443, -7.380, -6.519], [6.709, -9.336, 5.305]],
  "species": ["Te", "Te", "Te", "Te", "Te", "Te", "Te", "Te", "Te", "Te", "Te", "Te", "P", "P", "P", "P", "P", "P", "P", "P", "O", "O", "O", "O", "O", "O", "O", "O", "O", "O", "O", "O", "O", "O", "O", "O", "O", "O", "O", "O", "O", "O", "O", "O", "O", "O", "O", "O", "O", "O", "O", "O", "O", "O", "O", "O", "O", "O", "O", "O", "O", "O", "O", "O"],
  "frac_coords": [[0.278, 0.133, 0.359], [0.778, 0.367, 0.641], [0.722, 0.867, 0.641], [0.222, 0.633, 0.359], [0.256, 0.946, 0.151], [0.756, 0.554, 0.849], [0.744, 0.054, 0.849], [0.244, 0.446, 0.151], [0.805, 0.031, 0.236], [0.305, 0.469, 0.764], [0.195, 0.969, 0.764], [0.695, 0.531, 0.236], [0.695, 0.232, 0.413], [0.195, 0.268, 0.587], [0.305, 0.768, 0.587], [0.805, 0.732, 0.413], [0.686, 0.827, 0.073], [0.186, 0.673, 0.927], [0.314, 0.173, 0.927], [0.814, 0.327, 0.073], [0.752, 0.212, 0.530], [0.252, 0.288, 0.470], [0.248, 0.788, 0.470], [0.748, 0.712, 0.530], [0.643, 0.378, 0.375], [0.143, 0.122, 0.625], [0.357, 0.622, 0.625], [0.857, 0.878, 0.375], [0.533, 0.132, 0.405], [0.033, 0.368, 0.595], [0.467, 0.868, 0.595], [0.967, 0.632, 0.405], [0.843, 0.183, 0.340], [0.343, 0.317, 0.660], [0.157, 0.817, 0.660], [0.709, 0.673, 0.096], [0.657, 0.683, 0.340], [0.190, 0.637, 0.049], [0.310, 0.137, 0.049], [0.810, 0.363, 0.951], [0.442, 0.549, 0.230], [0.942, 0.951, 0.770], [0.558, 0.451, 0.770], [0.058, 0.049, 0.230], [0.106, 0.520, 0.256], [0.606, 0.980, 0.744], [0.894, 0.480, 0.744], [0.394, 0.020, 0.256], [0.201, 0.781, 0.255], [0.701, 0.719, 0.745], [0.799, 0.219, 0.745], [0.299, 0.281, 0.255], [0.654, 0.395, 0.125], [0.154, 0.105, 0.875], [0.346, 0.605, 0.875], [0.846, 0.895, 0.125], [0.988, 0.372, 0.122], [0.488, 0.128, 0.878], [0.012, 0.628, 0.878], [0.512, 0.872, 0.122], [0.791, 0.173, 0.096], [0.291, 0.327, 0.904], [0.209, 0.827, 0.904], [0.690, 0.863, 0.951]]
}

***

[2]
{
  "formula": "K2ZnBr4",
  "functional": "PBE",
  "state": "relaxed",
  "space_group": "P2_1/m, No. 11",
  "volume_a3_per_cell": 496,
  "corrected_energy_ry_per_atom": -0.2323,
  "ef_mev_per_atom": -1728,
  "cell": [[7.633, 0.000, 0.000], [0.000, 7.364, 0.000], [0.000, 3.016, 8.825]],
  "species": ["K", "K", "K", "K", "Zn", "Zn", "Br", "Br", "Br", "Br", "Br", "Br", "Br", "Br"],
  "frac_coords": [[0.750, 0.221, 0.574], [0.250, 0.779, 0.426], [0.750, 0.294, 0.045], [0.250, 0.706, 0.955], [0.750, 0.718, 0.206], [0.250, 0.282, 0.794], [0.750, 0.893, 0.935], [0.250, 0.107, 0.065], [0.750, 0.925, 0.363], [0.250, 0.075, 0.637], [0.001, 0.500, 0.266], [0.501, 0.500, 0.734], [0.999, 0.500, 0.734], [0.499, 0.500, 0.266]]
}

***

[3]
{
  "formula": "TbDyHg2",
  "functional": "PBE",
  "state": "relaxed",
  "space_group": "Fm-3m, No. 225",
  "volume_a3_per_cell": 104,
  "ef_mev_per_atom": -478,
  "cell": [[-2.049, -4.857, 0.379], [-3.428, -1.128, 3.861], [-5.095, -0.816, -1.145]],
  "species": ["Tb", "Dy", "Hg", "Hg"],
  "frac_coords": [[0.000, 0.000, 0.000], [0.500, 0.500, 0.500], [0.250, 0.250, 0.250], [0.750, 0.750, 0.750]]
}

***

[4]
{
  "formula": "KGaI4",
  "functional": "PBE",
  "state": "relaxed",
  "space_group": "P2_1/c, No. 14",
  "volume_a3_per_cell": 1167,
  "corrected_energy_ry_per_atom": -0.2086,
  "ef_mev_per_atom": -1132,
  "cell": [[-2.618, 7.021, -3.358], [2.721, -2.657, -7.679], [-14.359, -7.327, -4.126]],
  "species": ["K", "K", "K", "K", "Ga", "Ga", "Ga", "Ga", "I", "I", "I", "I", "I", "I", "I", "I", "I", "I", "I", "I", "I", "I", "I", "I"],
  "frac_coords": [[0.503, 0.257, 0.640], [0.003, 0.743, 0.860], [0.497, 0.743, 0.360], [0.997, 0.257, 0.140], [0.358, 0.244, 0.361], [0.858, 0.756, 0.139], [0.642, 0.756, 0.639], [0.142, 0.244, 0.861], [0.859, 0.139, 0.909], [0.359, 0.861, 0.591], [0.141, 0.861, 0.091], [0.641, 0.139, 0.409], [0.389, 0.413, 0.225], [0.889, 0.587, 0.275], [0.611, 0.587, 0.775], [0.111, 0.413, 0.725], [0.655, 0.981, 0.159], [0.155, 0.019, 0.341], [0.345, 0.019, 0.841], [0.845, 0.981, 0.659], [0.243, 0.420, 0.467], [0.743, 0.580, 0.033], [0.757, 0.580, 0.533], [0.257, 0.420, 0.967]]
}

***

[5]
{
  "formula": "MgC2O6",
  "functional": "PBE",
  "state": "relaxed",
  "space_group": "C2/c, No. 15",
  "volume_a3_per_cell": 233,
  "corrected_energy_ry_per_atom": -0.4907,
  "ef_mev_per_atom": -1149,
  "cell": [[0.000, -5.504, 0.000], [4.678, -2.752, -3.391], [5.000, -2.752, 5.413]],
  "species": ["Mg", "Mg", "C", "C", "C", "C", "O", "O", "O", "O", "O", "O", "O", "O", "O", "O", "O", "O"],
  "frac_coords": [[0.167, 0.250, 0.750], [0.833, 0.750, 0.250], [0.613, 0.246, 0.858], [0.717, 0.254, 0.642], [0.387, 0.754, 0.142], [0.283, 0.746, 0.358], [0.369, 0.252, 0.932], [0.552, 0.248, 0.568], [0.631, 0.748, 0.068], [0.448, 0.752, 0.432], [0.790, 0.233, 0.933], [0.955, 0.267, 0.567], [0.210, 0.767, 0.067], [0.045, 0.733, 0.433], [0.001, 0.623, 0.739], [0.364, 0.877, 0.761], [0.999, 0.377, 0.261], [0.636, 0.123, 0.239]]
}

***

[6]
{
  "formula": "Ca8In3",
  "functional": "PBE",
  "state": "relaxed",
  "space_group": "P1, No. 1",
  "volume_a3_per_cell": 740,
  "ef_mev_per_atom": -328,
  "cell": [[-8.421, -4.074, -2.107], [6.213, 2.101, -7.135], [4.771, -7.516, 3.993]],
  "species": ["Ca", "Ca", "Ca", "Ca", "Ca", "Ca", "Ca", "Ca", "Ca", "Ca", "Ca", "Ca", "Ca", "Ca", "Ca", "Ca", "In", "In", "In", "In", "In", "In"],
  "frac_coords": [[0.295, 0.943, 0.781], [0.866, 0.580, 0.761], [0.037, 0.381, 0.223], [0.804, 0.178, 0.460], [0.669, 0.757, 0.220], [0.379, 0.821, 0.441], [0.258, 0.651, 0.005], [0.218, 0.283, 0.760], [0.414, 0.108, 0.220], [0.111, 0.032, 0.411], [0.878, 0.590, 0.409], [0.001, 0.001, 0.000], [0.562, 0.726, 0.812], [0.791, 0.169, 0.814], [0.458, 0.479, 0.464], [0.635, 0.381, 0.003], [0.840, 0.880, 0.613], [0.660, 0.040, 0.083], [0.012, 0.721, 0.137], [0.164, 0.543, 0.612], [0.338, 0.382, 0.114], [0.510, 0.219, 0.612]]
}

***

[7]
{
  "formula": "U3As4",
  "functional": "PBE",
  "state": "relaxed",
  "space_group": "I-43d, No. 220",
  "volume_a3_per_cell": 307,
  "ef_mev_per_atom": -765,
  "cell": [[-4.249, 4.249, 4.249], [4.249, -4.249, 4.249], [4.249, 4.249, -4.249]],
  "species": ["U", "U", "U", "U", "U", "U", "As", "As", "As", "As", "As", "As", "As", "As"],
  "frac_coords": [[0.875, 0.125, 0.750], [0.375, 0.250, 0.625], [0.125, 0.750, 0.875], [0.750, 0.875, 0.125], [0.250, 0.625, 0.375], [0.625, 0.375, 0.250], [0.658, 0.658, 0.658], [0.500, 0.000, 0.342], [0.000, 0.342, 0.500], [0.342, 0.500, 0.000], [0.000, 0.842, 0.500], [0.842, 0.500, 0.000], [0.158, 0.158, 0.158], [0.500, 0.000, 0.842]]
}

***

[8]
{
  "formula": "KSi2BO6",
  "functional": "PBE",
  "state": "relaxed",
  "space_group": "P2_12_12_1, No. 19",
  "volume_a3_per_cell": 510,
  "corrected_energy_ry_per_atom": -0.5797,
  "ef_mev_per_atom": -3054,
  "cell": [[-1.116, 3.448, -3.112], [-8.228, 2.221, 5.414], [5.603, 6.932, 5.672]],
  "species": ["K", "K", "K", "K", "Si", "Si", "Si", "Si", "Si", "Si", "Si", "Si", "B", "B", "B", "B", "O", "O", "O", "O", "O", "O", "O", "O", "O", "O", "O", "O", "O", "O", "O", "O", "O", "O", "O", "O", "O", "O", "O", "O"],
  "frac_coords": [[0.798, 0.966, 0.811], [0.702, 0.034, 0.311], [0.298, 0.534, 0.189], [0.202, 0.466, 0.689], [0.786, 0.609, 0.935], [0.714, 0.391, 0.435], [0.286, 0.891, 0.065], [0.214, 0.109, 0.565], [0.266, 0.802, 0.576], [0.234, 0.198, 0.076], [0.766, 0.698, 0.424], [0.734, 0.302, 0.924], [0.289, 0.731, 0.843], [0.211, 0.269, 0.343], [0.789, 0.769, 0.157], [0.711, 0.231, 0.657], [0.989, 0.694, 0.842], [0.511, 0.306, 0.342], [0.489, 0.806, 0.158], [0.011, 0.194, 0.658], [0.330, 0.856, 0.915], [0.170, 0.144, 0.415], [0.830, 0.644, 0.085], [0.670, 0.356, 0.585], [0.457, 0.621, 0.895], [0.043, 0.379, 0.395], [0.957, 0.879, 0.105], [0.543, 0.121, 0.605], [0.382, 0.756, 0.711], [0.118, 0.244, 0.211], [0.882, 0.744, 0.289], [0.618, 0.256, 0.789], [0.025, 0.698, 0.527], [0.475, 0.302, 0.027], [0.525, 0.802, 0.473], [0.975, 0.198, 0.973], [0.129, 0.950, 0.579], [0.371, 0.050, 0.079], [0.629, 0.550, 0.421], [0.871, 0.450, 0.921]]
}

***

| no. | density (kg/m³) |
| --- | --- |
| 1 | 4323 |
| 2 | 3101 |
| 3 | 11496 |
| 4 | 3510 |
| 5 | 2060 |
| 6 | 2984 |
| 7 | 10972 |
| 8 | 2634 |